VASP calculation (PBE) on a relaxed Sc2FeS4 crystal.

Properties
Formation energy ... -1.6853 eV per atom
Volume ... 20.71 A^3/atom

The structure in extended XYZ format:
```
14
Lattice="0.000 5.253 5.253 5.253 0.000 5.253 5.253 5.253 0.000" Properties=species:S:1:pos:R:3 pbc="T T T"
Sc 0.000 0.000 0.000
Sc 2.627 2.627 0.000
Sc 2.627 0.000 2.627
Sc 0.000 2.627 2.627
Fe 3.940 3.940 3.940
Fe 6.566 6.566 6.566
S 7.917 5.216 5.216
S 2.589 2.589 2.589
S 5.290 5.290 2.589
S 5.290 2.589 5.290
S 5.216 7.917 5.216
S 5.216 5.216 7.917
S 7.917 7.917 7.917
S 2.589 5.290 5.290
```